{
  "formula": "UAs",
  "functional": "PBE-GGA",
  "state": "relaxed",
  "lattice": [[2.754, 2.682, -1.408], [-0.529, 1.742, -3.667], [-0.958, 3.972, -0.260]],
  "species": ["U", "As"],
  "fractional_positions": [[0.500, 0.500, 0.500], [0.000, 0.000, 0.000]],
  "formation_enthalpy_0k_ev_per_atom": -0.721,
  "vol_a3_per_atom": 24.3,
  "space_group": "Fm-3m"
}